Computed, not measured: a geometry-optimized Eu2MgAg2W4O16 structure at the PBE with a Hubbard U level of DFT.

a = 7.370 Å, b = 7.895 Å, c = 7.895 Å
α = 94.09°, β = 114.92°, γ = 114.92°
Element x y z (fractional)
O: 0.091 0.064 0.288
O: 0.357 0.797 0.295
O: 0.329 0.012 0.012
O: 0.834 0.541 0.541
O: 0.237 0.895 0.655
O: 0.763 0.105 0.345
O: 0.643 0.705 0.203
O: 0.763 0.345 0.105
O: 0.091 0.288 0.064
O: 0.166 0.459 0.459
O: 0.909 0.936 0.712
O: 0.357 0.295 0.797
O: 0.237 0.655 0.895
O: 0.643 0.203 0.705
O: 0.909 0.712 0.936
O: 0.671 0.988 0.988
W: 0.500 0.153 0.847
W: 0.500 0.847 0.153
W: 0.977 0.243 0.243
W: 0.023 0.757 0.757
Ag: 0.521 0.693 0.693
Ag: 0.479 0.307 0.307
Eu: 0.000 0.709 0.291
Eu: 0.000 0.291 0.709
Mg: 0.000 0.000 0.000

The calculation puts the total energy after the MP2020 corrections at -0.632 Ry/atom. Its crystal system is monoclinic. Its formation energy is -2241 meV/atom. The offset from the most stable computed form is 0.024 eV/atom. As for the spin magnetization: 14.00 Bohr magnetons per cell.



Computed, not measured: a geometry-optimized Sr2GdCrCu2O8 structure at the PBE with a Hubbard U level of DFT.

a = 3.854 Å, b = 3.854 Å, c = 11.527 Å
α = 90.00°, β = 90.00°, γ = 90.17°
Element x y z (fractional)
O: 0.001 0.498 0.873
O: 0.502 0.999 0.127
O: 0.006 0.994 0.334
O: 0.502 0.999 0.873
O: 0.001 0.498 0.127
O: 0.013 0.491 0.500
O: 0.006 0.994 0.666
O: 0.509 0.987 0.500
Sr: 0.509 0.491 0.666
Sr: 0.509 0.491 0.334
Cu: 0.002 0.998 0.844
Cu: 0.002 0.998 0.156
Cr: 0.011 0.989 0.500
Gd: 0.501 0.499 0.000

The calculation puts the total energy after the MP2020 corrections at -0.567 Ry/atom. Its crystal system is orthorhombic. Its formation energy is -2359 meV/atom. As for the spin magnetization: 8.45 Bohr magnetons per cell.



Computed, not measured: a geometry-optimized Na8MgCo2O8 structure at the PBE with a Hubbard U level of DFT.

a = 5.805 Å, b = 5.739 Å, c = 9.134 Å
α = 68.07°, β = 83.23°, γ = 69.89°
Element x y z (fractional)
O: 0.265 0.052 0.339
O: 0.171 0.659 0.117
O: 0.256 0.481 0.578
O: 0.866 0.029 0.811
O: 0.693 0.522 0.379
O: 0.586 0.779 0.634
O: 0.212 0.209 0.973
O: 0.707 0.184 0.093
Na: 0.903 0.372 0.192
Na: 0.977 0.627 0.761
Na: 0.471 0.803 0.159
Na: 0.543 0.403 0.822
Na: 0.974 0.765 0.343
Na: 0.430 0.036 0.780
Na: 0.508 0.206 0.450
Na: 0.996 0.239 0.561
Mg: 0.355 0.295 0.131
Co: 0.446 0.705 0.492
Co: 0.991 0.010 0.990

The calculation puts the total energy after the MP2020 corrections at -0.375 Ry/atom. Its crystal system is triclinic. Its formation energy is -1630 meV/atom. The offset from the most stable computed form is 0.012 eV/atom. As for the spin magnetization: 8.00 Bohr magnetons per cell.



Computed, not measured: a geometry-optimized MgTiMn3O8 structure at the PBE with a Hubbard U level of DFT.

a = 10.600 Å, b = 10.544 Å, c = 14.996 Å
α = 19.26°, β = 19.07°, γ = 33.06°
Element x y z (fractional)
Mn: 0.500 0.500 0.000
Mn: 0.500 0.000 0.000
Mn: 0.000 0.500 0.000
O: 0.000 0.490 0.274
O: 0.545 0.049 0.200
O: 0.455 0.951 0.800
O: 0.000 0.946 0.301
O: 0.455 0.504 0.291
O: 0.000 0.054 0.699
O: 0.545 0.496 0.709
O: 0.000 0.510 0.726
Ti: 0.000 0.000 0.000
Mg: 0.000 0.500 0.500

The calculation puts the total energy after the MP2020 corrections at -0.608 Ry/atom. Its crystal system is monoclinic. Its formation energy is -2377 meV/atom. The offset from the most stable computed form is 0.033 eV/atom. As for the spin magnetization: 11.00 Bohr magnetons per cell.



Computed, not measured: a geometry-optimized ZnCrO4 structure at the PBE with a Hubbard U level of DFT.

a = 8.326 Å, b = 5.274 Å, c = 8.267 Å
α = 57.55°, β = 90.00°, γ = 90.00°
Element x y z (fractional)
Zn: 0.557 0.894 0.329
Zn: 0.057 0.106 0.171
Zn: 0.443 0.106 0.671
Zn: 0.943 0.894 0.829
O: 0.635 0.166 0.405
O: 0.237 0.284 0.706
O: 0.263 0.284 0.206
O: 0.071 0.790 0.464
O: 0.763 0.716 0.294
O: 0.365 0.834 0.595
O: 0.571 0.210 0.036
O: 0.865 0.166 0.905
O: 0.737 0.716 0.794
O: 0.135 0.834 0.095
O: 0.429 0.790 0.964
O: 0.929 0.210 0.536
O: 0.105 0.615 0.837
O: 0.895 0.385 0.163
O: 0.605 0.385 0.663
O: 0.395 0.615 0.337
Cr: 0.194 0.631 0.648
Cr: 0.806 0.369 0.352
Cr: 0.694 0.369 0.852
Cr: 0.306 0.631 0.148

The calculation puts the total energy after the MP2020 corrections at -0.498 Ry/atom. Its crystal system is monoclinic. Its formation energy is -1657 meV/atom. The offset from the most stable computed form is 0.035 eV/atom. As for the spin magnetization: 0.00 Bohr magnetons per cell.



Computed, not measured: a geometry-optimized LiMnP4O12 structure at the PBE with a Hubbard U level of DFT.

a = 9.179 Å, b = 9.179 Å, c = 10.404 Å
α = 56.24°, β = 56.24°, γ = 46.34°
Element x y z (fractional)
O: 0.760 0.999 0.542
O: 0.167 0.635 0.652
O: 0.430 0.241 0.730
O: 0.425 0.434 0.434
O: 0.241 0.430 0.230
O: 0.624 0.859 0.854
O: 0.039 0.814 0.219
O: 0.376 0.141 0.146
O: 0.141 0.376 0.646
O: 0.240 0.001 0.458
O: 0.961 0.186 0.781
O: 0.566 0.575 0.066
O: 0.186 0.961 0.281
O: 0.759 0.570 0.770
O: 0.999 0.760 0.042
O: 0.434 0.425 0.934
O: 0.570 0.759 0.270
O: 0.814 0.039 0.719
O: 0.833 0.365 0.348
O: 0.001 0.240 0.958
O: 0.859 0.624 0.354
O: 0.635 0.167 0.152
O: 0.365 0.833 0.848
O: 0.575 0.566 0.566
Li: 0.354 0.646 0.750
Li: 0.646 0.354 0.250
P: 0.706 0.556 0.399
P: 0.294 0.444 0.601
P: 0.444 0.294 0.101
P: 0.034 0.658 0.208
P: 0.556 0.706 0.899
P: 0.342 0.966 0.292
P: 0.658 0.034 0.708
P: 0.966 0.342 0.792
Mn: 0.000 0.000 0.000
Mn: 0.000 0.000 0.500

The calculation puts the total energy after the MP2020 corrections at -0.559 Ry/atom. Its crystal system is monoclinic. Its formation energy is -2482 meV/atom. The offset from the most stable computed form is 0.093 eV/atom. As for the spin magnetization: 8.01 Bohr magnetons per cell.



Computed, not measured: a geometry-optimized Nd4Ti3Co2Si4O22 structure at the PBE with a Hubbard U level of DFT.

a = 5.773 Å, b = 11.054 Å, c = 13.474 Å
α = 79.21°, β = 90.00°, γ = 90.00°
Element x y z (fractional)
Co: 0.000 0.000 0.500
Co: 0.500 0.000 0.000
Co: 0.000 0.500 0.000
Co: 0.500 0.500 0.500
O: 0.269 0.369 0.025
O: 0.457 0.879 0.265
O: 0.017 0.477 0.847
O: 0.505 0.492 0.154
O: 0.260 0.686 0.219
O: 0.774 0.685 0.740
O: 0.760 0.314 0.281
O: 0.738 0.905 0.415
O: 0.005 0.508 0.346
O: 0.262 0.095 0.585
O: 0.715 0.097 0.563
O: 0.241 0.629 0.480
O: 0.514 0.898 0.683
O: 0.238 0.095 0.085
O: 0.740 0.314 0.781
O: 0.995 0.492 0.654
O: 0.226 0.315 0.260
O: 0.046 0.173 0.417
O: 0.543 0.121 0.735
O: 0.240 0.686 0.719
O: 0.785 0.097 0.063
O: 0.454 0.173 0.917
O: 0.259 0.629 0.980
O: 0.957 0.121 0.235
O: 0.769 0.631 0.475
O: 0.517 0.523 0.653
O: 0.215 0.903 0.937
O: 0.486 0.102 0.317
O: 0.274 0.315 0.760
O: 0.954 0.827 0.583
O: 0.546 0.827 0.083
O: 0.231 0.369 0.525
O: 0.986 0.898 0.183
O: 0.495 0.508 0.846
O: 0.741 0.371 0.020
O: 0.285 0.903 0.437
O: 0.043 0.879 0.765
O: 0.983 0.523 0.153
O: 0.759 0.371 0.520
O: 0.762 0.905 0.915
O: 0.731 0.631 0.975
O: 0.726 0.685 0.240
O: 0.014 0.102 0.817
O: 0.483 0.477 0.347
Si: 0.504 0.044 0.643
Si: 0.498 0.771 0.199
Si: 0.496 0.956 0.357
Si: 0.502 0.229 0.801
Si: 0.002 0.771 0.699
Si: 0.998 0.229 0.301
Si: 0.004 0.956 0.857
Si: 0.996 0.044 0.143
Ti: 0.245 0.500 0.239
Ti: 0.500 0.500 0.000
Ti: 0.000 0.500 0.500
Ti: 0.755 0.500 0.761
Ti: 0.255 0.500 0.739
Ti: 0.745 0.500 0.261
Nd: 0.016 0.768 0.360
Nd: 0.034 0.246 0.935
Nd: 0.984 0.232 0.640
Nd: 0.466 0.246 0.435
Nd: 0.966 0.754 0.065
Nd: 0.534 0.754 0.565
Nd: 0.484 0.768 0.860
Nd: 0.516 0.232 0.140

The calculation puts the total energy after the MP2020 corrections at -0.629 Ry/atom. Its crystal system is monoclinic. Its formation energy is -3202 meV/atom. As for the spin magnetization: 0.02 Bohr magnetons per cell.



Computed, not measured: a geometry-optimized CrFe5P6O24 structure at the PBE with a Hubbard U level of DFT.

a = 8.430 Å, b = 8.430 Å, c = 8.430 Å
α = 61.60°, β = 61.60°, γ = 61.60°
Element x y z (fractional)
Fe: 0.854 0.854 0.854
Fe: 0.646 0.646 0.646
Fe: 0.501 0.501 0.501
Fe: 0.998 0.998 0.998
Fe: 0.354 0.354 0.354
O: 0.094 0.748 0.940
O: 0.750 0.406 0.561
O: 0.251 0.596 0.438
O: 0.994 0.179 0.390
O: 0.824 0.607 0.005
O: 0.906 0.249 0.062
O: 0.390 0.994 0.179
O: 0.179 0.390 0.994
O: 0.438 0.251 0.596
O: 0.406 0.561 0.750
O: 0.940 0.094 0.748
O: 0.596 0.438 0.251
O: 0.748 0.940 0.094
O: 0.062 0.906 0.249
O: 0.680 0.493 0.893
O: 0.561 0.750 0.406
O: 0.493 0.893 0.680
O: 0.249 0.062 0.906
O: 0.504 0.107 0.325
O: 0.005 0.824 0.607
O: 0.607 0.005 0.824
O: 0.107 0.325 0.504
O: 0.325 0.504 0.107
O: 0.893 0.680 0.493
P: 0.954 0.251 0.544
P: 0.544 0.954 0.251
P: 0.453 0.048 0.751
P: 0.751 0.453 0.048
P: 0.251 0.544 0.954
P: 0.048 0.751 0.453
Cr: 0.142 0.142 0.142

The calculation puts the total energy after the MP2020 corrections at -0.586 Ry/atom. Its crystal system is trigonal. Its formation energy is -2333 meV/atom. As for the spin magnetization: 28.00 Bohr magnetons per cell.



Computed, not measured: a geometry-optimized LiMn4O8 structure at the PBE with a Hubbard U level of DFT.

a = 5.941 Å, b = 5.941 Å, c = 6.043 Å
α = 60.18°, β = 60.18°, γ = 58.68°
Element x y z (fractional)
O: 0.724 0.231 0.807
O: 0.270 0.270 0.197
O: 0.730 0.730 0.803
O: 0.742 0.742 0.214
O: 0.231 0.724 0.807
O: 0.258 0.258 0.786
O: 0.769 0.276 0.193
O: 0.276 0.769 0.193
Mn: 0.000 0.000 0.000
Mn: 0.000 0.500 0.000
Mn: 0.500 0.500 0.000
Mn: 0.500 0.000 0.000
Li: 0.500 0.500 0.500

The calculation puts the total energy after the MP2020 corrections at -0.583 Ry/atom. Its crystal system is monoclinic. Its formation energy is -1920 meV/atom. The offset from the most stable computed form is 0.007 eV/atom. As for the spin magnetization: 13.00 Bohr magnetons per cell.



Computed, not measured: a geometry-optimized RbW3O9 structure at the PBE with a Hubbard U level of DFT.

a = 7.522 Å, b = 7.522 Å, c = 7.742 Å
α = 90.00°, β = 90.00°, γ = 120.00°
Element x y z (fractional)
O: 0.487 0.974 0.999
O: 0.580 0.790 0.733
O: 0.513 0.026 0.499
O: 0.210 0.420 0.733
O: 0.790 0.210 0.233
O: 0.026 0.513 0.999
O: 0.420 0.210 0.233
O: 0.513 0.487 0.499
O: 0.487 0.513 0.999
O: 0.790 0.579 0.764
O: 0.790 0.580 0.233
O: 0.210 0.421 0.264
O: 0.974 0.487 0.499
O: 0.210 0.790 0.264
O: 0.579 0.790 0.264
O: 0.210 0.790 0.733
O: 0.790 0.210 0.764
O: 0.421 0.210 0.764
W: 0.500 0.500 0.749
W: 0.500 0.000 0.749
W: 0.500 0.500 0.249
W: 0.000 0.500 0.749
W: 0.000 0.500 0.249
W: 0.500 0.000 0.249
Rb: 0.000 0.000 0.011
Rb: 0.000 0.000 0.511

The calculation puts the total energy after the MP2020 corrections at -0.641 Ry/atom. Its crystal system is hexagonal. Its formation energy is -2235 meV/atom. The offset from the most stable computed form is 0.007 eV/atom. As for the spin magnetization: 2.00 Bohr magnetons per cell.



Computed, not measured: a geometry-optimized LiV2NiO6 structure at the PBE with a Hubbard U level of DFT.

a = 5.616 Å, b = 6.921 Å, c = 6.921 Å
α = 102.48°, β = 72.02°, γ = 107.98°
Element x y z (fractional)
O: 0.190 0.609 0.965
O: 0.152 0.197 0.983
O: 0.569 0.408 0.695
O: 0.348 0.983 0.197
O: 0.852 0.798 0.991
O: 0.310 0.966 0.609
O: 0.057 0.314 0.637
O: 0.814 0.107 0.353
O: 0.443 0.637 0.314
O: 0.931 0.695 0.408
O: 0.648 0.991 0.798
O: 0.686 0.353 0.108
Li: 0.750 0.723 0.723
Li: 0.249 0.271 0.272
V: 0.264 0.817 0.378
V: 0.701 0.160 0.611
V: 0.236 0.378 0.816
V: 0.799 0.611 0.161
Ni: 0.750 0.070 0.070
Ni: 0.250 0.913 0.913

The calculation puts the total energy after the MP2020 corrections at -0.568 Ry/atom. Its crystal system is monoclinic. Its formation energy is -2176 meV/atom. The offset from the most stable computed form is 0.000 eV/atom. As for the spin magnetization: 2.00 Bohr magnetons per cell.



Computed, not measured: a geometry-optimized Li9Mn2Co5O16 structure at the PBE with a Hubbard U level of DFT.

a = 6.440 Å, b = 6.475 Å, c = 7.838 Å
α = 87.71°, β = 114.23°, γ = 108.23°
Element x y z (fractional)
Li: 0.135 0.930 0.690
Li: 0.498 0.751 0.749
Li: 0.619 0.183 0.930
Li: 0.120 0.441 0.188
Li: 0.870 0.059 0.309
Li: 0.867 0.563 0.811
Li: 0.386 0.322 0.571
Li: 0.377 0.813 0.056
Li: 0.625 0.690 0.444
Co: 0.258 0.874 0.384
Co: 0.501 0.245 0.250
Co: 0.745 0.622 0.118
Co: 0.008 0.509 0.507
Co: 0.747 0.127 0.627
Mn: 0.254 0.382 0.874
Mn: 0.995 0.996 0.997
O: 0.825 0.874 0.737
O: 0.958 0.273 0.918
O: 0.794 0.354 0.221
O: 0.451 0.036 0.645
O: 0.548 0.973 0.341
O: 0.061 0.242 0.613
O: 0.439 0.513 0.137
O: 0.290 0.597 0.457
O: 0.711 0.899 0.042
O: 0.187 0.638 0.787
O: 0.545 0.463 0.846
O: 0.296 0.101 0.966
O: 0.042 0.727 0.088
O: 0.192 0.135 0.263
O: 0.957 0.773 0.410
O: 0.697 0.396 0.524

The calculation puts the total energy after the MP2020 corrections at -0.481 Ry/atom. Its crystal system is triclinic. Its formation energy is -1850 meV/atom. The offset from the most stable computed form is 0.015 eV/atom. As for the spin magnetization: 8.00 Bohr magnetons per cell.